! PBE-GGA KPdF3, relaxed; values from VASP
&SYSTEM
  ibrav = 0, nat = 5, ntyp = 3
/
ATOMIC_SPECIES
F 19.00 F.upf
Pd 106.42 Pd.upf
K 39.10 K.upf
CELL_PARAMETERS angstrom
-3.045 1.061 2.859
-3.049 -1.111 -2.835
0.039 -4.026 1.536
ATOMIC_POSITIONS angstrom
F 0.020 -2.013 0.768
F -1.525 -0.556 -1.418
F -1.522 0.530 1.429
Pd 0.000 0.000 0.000
K -3.027 -2.038 0.780
! - symmetry = No. 221
! - energy (eV/atom) = -4.242
! - energy of formation from the pure elements (meV per atom) = -2113

---

! PBE-GGA Ba2LiOsO6, relaxed; values from VASP
&SYSTEM
  ibrav = 0, nat = 10, ntyp = 4
/
ATOMIC_SPECIES
O 16.00 O.upf
Li 6.94 Li.upf
Ba 137.33 Ba.upf
Os 190.23 Os.upf
CELL_PARAMETERS angstrom
-4.502 0.079 3.664
-2.717 4.999 1.153
-5.366 0.919 -2.014
ATOMIC_POSITIONS angstrom
O -8.200 1.930 1.534
O -5.798 1.888 -0.421
O -6.787 4.107 3.224
O -7.248 4.556 0.194
O -4.384 4.065 1.269
O -5.337 1.440 2.609
Li -6.292 2.998 1.402
Ba -3.146 1.499 0.701
Ba -9.439 4.497 2.102
Os 0.000 0.000 0.000
! - symmetry = No. 225
! - energy (eV/atom) = -6.696
! - energy of formation from the pure elements (meV per atom) = -2442

---

! PBE-GGA Sm2S3O12, relaxed; values from VASP
&SYSTEM
  ibrav = 0, nat = 34, ntyp = 3
/
ATOMIC_SPECIES
O 16.00 O.upf
S 32.06 S.upf
Sm 150.36 Sm.upf
CELL_PARAMETERS angstrom
3.354 10.731 0.000
-3.354 10.731 0.000
0.000 2.051 6.631
ATOMIC_POSITIONS angstrom
O 0.038 7.834 0.827
O -0.038 8.860 4.142
O 1.446 10.431 0.729
O -2.090 14.391 1.316
O -1.446 11.456 4.045
O 2.090 15.416 4.632
O 1.446 12.057 2.587
O -0.981 16.555 1.387
O 0.981 6.958 5.244
O 0.220 2.524 4.256
O -0.220 20.989 2.376
O -0.038 15.679 5.805
O -0.220 1.498 0.940
O 0.038 14.653 2.489
O 2.090 9.122 5.315
O -2.090 8.097 2.000
O -2.047 15.572 3.357
O 2.047 14.547 0.042
O 0.981 17.581 4.703
O 0.220 22.015 5.691
O -1.446 13.082 5.902
O -0.981 5.932 1.928
O 2.047 7.941 3.274
O -2.047 8.966 6.589
S 1.224 8.189 4.493
S 2.254 11.244 1.658
S -1.224 7.163 1.177
S 1.224 16.350 5.454
S -1.224 15.324 2.138
S -2.254 12.269 4.973
Sm -2.374 9.190 4.184
Sm 2.374 8.165 0.868
Sm 2.374 14.323 2.448
Sm -2.374 15.348 5.763
! - symmetry = No. 15
! - energy (eV/atom) = -6.915
! - energy of formation from the pure elements (meV per atom) = -2622

---

! PBE-GGA K2YCl5, relaxed; values from VASP
&SYSTEM
  ibrav = 0, nat = 32, ntyp = 3
/
ATOMIC_SPECIES
Cl 35.45 Cl.upf
K 39.10 K.upf
Y 88.91 Y.upf
CELL_PARAMETERS angstrom
-4.830 1.794 -6.195
-6.122 -4.968 3.334
-4.692 10.224 6.620
ATOMIC_POSITIONS angstrom
Cl -6.392 6.463 3.389
Cl -6.168 3.327 -0.874
Cl -9.633 8.855 1.002
Cl -7.497 -2.536 -1.062
Cl -9.475 3.723 4.632
Cl -7.277 0.054 -3.180
Cl -8.693 4.820 1.323
Cl -9.517 0.146 3.833
Cl -3.266 1.061 1.080
Cl -6.011 -1.805 2.757
Cl -4.245 3.896 3.506
Cl -6.950 2.230 2.436
Cl -11.398 3.154 0.253
Cl -12.378 5.989 2.679
Cl -8.146 9.586 4.821
Cl -9.252 0.587 0.370
Cl -10.933 4.913 8.336
Cl -6.126 6.904 -0.075
Cl -8.366 6.996 6.939
Cl -4.710 2.137 -4.578
K -3.326 6.951 4.254
K -3.070 2.615 -1.736
K -6.129 0.133 -0.071
K -6.385 4.468 5.920
K -12.574 4.435 5.495
K -9.258 2.582 -2.161
K -12.317 0.099 -0.495
K -9.515 6.917 3.829
Y -9.078 -2.039 -3.224
Y -5.926 4.611 1.484
Y -9.717 2.439 2.274
Y -6.566 9.089 6.983
! - symmetry = No. 62
! - energy (eV/atom) = -4.395
! - energy of formation from the pure elements (meV per atom) = -2538

---

! PBE-GGA MgZn2Co4S8, relaxed; values from VASP
&SYSTEM
  ibrav = 0, nat = 15, ntyp = 4
/
ATOMIC_SPECIES
S 32.06 S.upf
Co 58.93 Co.upf
Zn 65.41 Zn.upf
Mg 24.30 Mg.upf
CELL_PARAMETERS angstrom
6.141 -0.306 3.694
1.946 5.494 3.371
0.129 -0.306 7.164
ATOMIC_POSITIONS angstrom
S 2.157 1.291 6.752
S 5.957 3.636 7.451
S 2.094 1.381 3.626
S 2.956 3.840 5.119
S 4.770 1.290 5.244
S 6.221 3.328 10.774
S 3.476 3.636 8.884
S 5.376 0.910 9.310
Co 4.010 2.671 6.943
Co 4.156 2.301 10.681
Co 7.173 2.301 8.938
Co 3.002 -0.210 5.197
Zn 7.413 3.948 12.837
Zn 0.909 0.783 1.574
Mg 4.269 0.174 7.393
! - symmetry = No. 8
! - energy (eV/atom) = -4.779
! - energy of formation from the pure elements (meV per atom) = -671

---

! PBE-GGA Ca2HfNbO6, relaxed; values from VASP
&SYSTEM
  ibrav = 0, nat = 10, ntyp = 4
/
ATOMIC_SPECIES
O 16.00 O.upf
Ca 40.08 Ca.upf
Nb 92.91 Nb.upf
Hf 178.49 Hf.upf
CELL_PARAMETERS angstrom
5.113 2.590 -0.632
3.301 -1.213 -4.569
0.744 3.937 -4.146
ATOMIC_POSITIONS angstrom
O 6.483 2.021 -4.936
O 4.844 2.624 -2.667
O 4.314 2.690 -6.680
O 5.213 4.579 -4.725
O 2.675 3.293 -4.412
O 3.945 0.735 -4.622
Ca 2.290 1.329 -2.337
Ca 6.869 3.986 -7.010
Nb 4.579 2.657 -4.674
Hf 0.000 0.000 0.000
! - symmetry = No. 225
! - energy (eV/atom) = -8.296
! - energy of formation from the pure elements (meV per atom) = -3332